w.
DFT (PBE+U) results for crystalline LiFeF3 at its relaxed geometry.

Cell lengths 7.2845, 10.2645, 6.4531 Å; angles 90.00, 90.00, 90.00 degrees
Last column: nearest neighbours and their distance in Å.
Space group Cmcm (No. 63)
Symmetry-distinct sites (fractional):
Li1 0.0000 0.9998 0.2500 [4 per cell]  4 F 1.90
Li2 0.0000 0.4972 0.2500 [4 per cell]  4 F 2.15-2.17
Fe1 0.2500 0.2500 0.0000 [8 per cell]  6 F 2.08-2.14
F1 0.0000 0.3602 0.5063 [8 per cell]  2 Fe 2.14, 2 Li 2.15-2.17
F2 0.1833 0.1315 0.2500 [8 per cell]  1 Li 1.90, 2 Fe 2.08
F3 0.1908 0.1261 0.7500 [8 per cell]  1 Li 1.90, 2 Fe 2.10

Values from the calculation:
**V**: 12.1 Å³ per atom


x.
DFT (PBE+U) results for crystalline LiFeF3 at its relaxed geometry.

Cell lengths 6.8980, 7.9095, 16.5051 Å; angles 91.43, 96.54, 90.87 degrees
Last column: nearest neighbours and their distance in Å.
Space group P-1 (No. 2)
Symmetry-distinct sites (fractional):
Li1 0.0124 0.1565 0.1001 [2 per cell]  4 F 1.87-1.93
Li2 0.0650 0.4653 0.6214 [2 per cell]  4 F 1.82-1.91
Li3 0.1763 0.5489 0.8089 [2 per cell]  4 F 1.84-1.97
Li4 0.1798 0.0736 0.3379 [2 per cell]  4 F 1.78-1.93
Li5 0.2415 0.7075 0.0699 [2 per cell]  4 F 1.87-2.07
Li6 0.2820 0.1640 0.5328 [2 per cell]  4 F 1.81-1.94
Li7 0.3779 0.7775 0.2552 [2 per cell]  4 F 1.79-1.95
Fe1 0.0907 0.1789 0.7848 [2 per cell]  4 F 1.96-2.20
Fe2 0.2040 0.8122 0.4605 [2 per cell]  4 F 1.99-2.18
Fe3 0.2684 0.2984 0.9882 [2 per cell]  4 F 1.97-2.13
Fe4 0.3332 0.8581 0.6872 [2 per cell]  5 F 2.00-2.18
Fe5 0.3361 0.3742 0.1952 [2 per cell]  5 F 1.97-2.20
Fe6 0.4469 0.9571 0.8911 [2 per cell]  4 F 1.97-2.20
Fe7 0.4529 0.4567 0.4005 [2 per cell]  2 F 1.95-2.04
F1 0.0141 0.7265 0.9979 [2 per cell]  2 Li 1.87-1.88, 1 Fe 1.99
F2 0.0509 0.3386 0.1749 [2 per cell]  2 Li 1.86-1.87, 1 Fe 1.97
F3 0.0698 0.9479 0.7241 [2 per cell]  1 Li 1.90, 2 Fe 2.06-2.11
F4 0.0725 0.2560 0.5732 [2 per cell]  2 Li 1.81-1.82, 1 Fe 1.99
F5 0.0838 0.3940 0.7277 [2 per cell]  2 Li 1.84-1.85, 1 Fe 1.96
F6 0.1446 0.0685 0.4431 [2 per cell]  2 Li 1.78-1.81
F7 0.1709 0.0192 0.8942 [2 per cell]  1 Li 1.88, 1 Fe 1.98
F8 0.1773 0.7963 0.1691 [2 per cell]  2 Li 1.87-1.88, 1 Fe 2.09
F9 0.1892 0.5087 0.4236 [2 per cell]  1 Li 1.84, 1 Fe 1.95
F10 0.2497 0.3592 0.8726 [2 per cell]  1 Li 1.89, 1 Fe 1.97
F11 0.2716 0.8510 0.3432 [2 per cell]  2 Li 1.79-1.88
F12 0.2768 0.6228 0.6206 [2 per cell]  1 Li 1.91, 1 Fe 2.04
F13 0.2913 0.1432 0.1001 [2 per cell]  1 Li 1.93, 1 Fe 1.97
F14 0.3318 0.9391 0.5733 [2 per cell]  1 Li 1.94, 1 Fe 2.00
F15 0.3446 0.4830 0.0775 [2 per cell]  1 Li 1.92, 2 Fe 2.07-2.15
F16 0.3721 0.2339 0.3094 [2 per cell]  1 Li 1.93
F17 0.3779 0.7269 0.8078 [2 per cell]  1 Li 1.97, 1 Fe 2.15
F18 0.4235 0.0646 0.7738 [2 per cell]  1 Li 1.95, 2 Fe 2.12-2.18
F19 0.4439 0.5554 0.2771 [2 per cell]  1 Li 1.86, 1 Fe 2.02
F20 0.4666 0.8324 0.0216 [2 per cell]  1 Li 2.07, 2 Fe 2.13-2.20
F21 0.4939 0.3190 0.5179 [2 per cell]  1 Li 1.93

Values from the calculation:
**V**: 12.8 Å³ per atom


y.
DFT (PBE+U) results for crystalline LiFeF3 at its relaxed geometry.

Cell lengths 5.1749, 5.1749, 14.5676 Å; angles 90.00, 90.00, 120.00 degrees
Last column: nearest neighbours and their distance in Å.
Space group R-3 (No. 148, hexagonal axes)
Symmetry-distinct sites (fractional):
Li1 0.0000 0.0000 0.1447 [6 per cell]  3 F 1.98
Fe1 0.0000 0.0000 0.3460 [6 per cell]  6 F 2.08-2.13
F1 0.0061 0.6915 0.7499 [18 per cell]  1 Li 1.98, 2 Fe 2.08-2.13

Values from the calculation:
**V**: 11.3 Å³ per atom


Short version: w is the most stable of them.


w.
DFT (PBE+U) results for crystalline LiFeF3 at its relaxed geometry.

Cell lengths 12.3237, 12.3237, 11.9845 Å; angles 90.00, 90.00, 90.00 degrees
Last column: nearest neighbours and their distance in Å.
Space group I4_1/a (No. 88, origin choice 2)
Symmetry-distinct sites (fractional):
Li1 0.0000 0.0000 0.0000 [8 per cell]  6 F 1.98-2.16
Li2 0.0000 0.2500 0.1250 [4 per cell]  4 F 1.89
Li3 0.0000 0.2500 0.6250 [4 per cell]  4 F 1.88
Li4 0.1232 0.4993 0.7456 [16 per cell]  4 F 1.82-1.93
Fe1 0.0000 0.0000 0.5000 [8 per cell]  6 F 2.04-2.14
Fe2 0.0000 0.2500 0.3695 [8 per cell]  6 F 2.16-2.27
Fe3 0.1313 0.4942 0.2331 [16 per cell]  4 F 2.04-2.25
F1 0.0124 0.4636 0.8392 [16 per cell]  2 Li 1.82-1.98, 1 Fe 2.04
F2 0.0512 0.0827 0.3595 [16 per cell]  1 Li 1.85, 1 Fe 2.07
F3 0.0662 0.1577 0.0185 [16 per cell]  2 Li 1.89-2.12
F4 0.0668 0.3409 0.5188 [16 per cell]  1 Li 1.88
F5 0.1460 0.0304 0.5743 [16 per cell]  1 Li 1.93, 1 Fe 2.04
F6 0.1658 0.4805 0.0539 [16 per cell]  1 Li 1.83

Values from the calculation:
**V**: 11.4 Å³ per atom


x.
DFT (PBE+U) results for crystalline LiFeF3 at its relaxed geometry.

Cell lengths 5.3303, 7.8961, 5.3534 Å; angles 90.00, 90.00, 90.00 degrees
Last column: nearest neighbours and their distance in Å.
Space group Pnma (No. 62)
Symmetry-distinct sites (fractional):
Li1 0.0248 0.2500 0.0165 [4 per cell]  4 F 1.98-2.07
Fe1 0.0000 0.0000 0.5000 [4 per cell]  6 F 2.05-2.17
F1 0.1053 0.7500 0.6336 [4 per cell]  2 Li 2.00-2.07, 2 Fe 2.17
F2 0.1700 0.5746 0.1632 [8 per cell]  1 Li 1.98, 2 Fe 2.05-2.10

Values from the calculation:
**V**: 11.3 Å³ per atom


Short version: x is the most stable of them.


w.
DFT (PBE+U) results for crystalline LiFeF3 at its relaxed geometry.

Cell lengths 5.5029, 6.5820, 6.8949 Å; angles 83.32, 83.66, 83.84 degrees
Last column: nearest neighbours and their distance in Å.
Space group P-1 (No. 2)
Symmetry-distinct sites (fractional):
Li1 0.1998 0.1226 0.2672 [2 per cell]  4 F 1.90-1.99
Li2 0.2977 0.6949 0.9089 [2 per cell]  4 F 1.90-2.03
Fe1 0.2463 0.5981 0.4107 [2 per cell]  6 F 2.00-2.14
Fe2 0.2525 0.2055 0.7823 [2 per cell]  4 F 2.02-2.12
F1 0.1014 0.6404 0.1539 [2 per cell]  1 Li 1.92, 2 Fe 2.00-2.12
F2 0.1177 0.3071 0.4796 [2 per cell]  1 Li 1.99, 2 Fe 2.10-2.12
F3 0.1187 0.9303 0.7883 [2 per cell]  2 Li 1.90-1.91, 1 Fe 2.02
F4 0.3852 0.2404 0.0403 [2 per cell]  2 Li 1.90-1.92, 1 Fe 2.04
F5 0.3872 0.5180 0.6840 [2 per cell]  1 Li 2.03, 3 Fe 2.11-2.27
F6 0.3885 0.8715 0.3479 [2 per cell]  1 Li 1.91, 2 Fe 2.02-2.11

Values from the calculation:
**V**: 12.3 Å³ per atom


x.
DFT (PBE+U) results for crystalline LiFeF3 at its relaxed geometry.

Cell lengths 5.1664, 8.7244, 4.8319 Å; angles 90.00, 90.00, 90.00 degrees
Last column: nearest neighbours and their distance in Å.
Space group C222_1 (No. 20)
Symmetry-distinct sites (fractional):
Li1 0.0000 0.0014 0.2500 [4 per cell]  6 F 2.01-2.04
Fe1 0.0000 0.3346 0.7500 [4 per cell]  6 F 2.09-2.16
F1 0.1529 0.1610 0.9994 [8 per cell]  2 Li 2.01-2.02, 2 Fe 2.09-2.16
F2 0.1825 0.5000 0.0000 [4 per cell]  2 Li 2.04, 2 Fe 2.11

Values from the calculation:
**V**: 10.9 Å³ per atom


Short version: w is the most stable of them.


w.
DFT (PBE+U) results for crystalline LiFeF3 at its relaxed geometry.

Cell lengths 10.2674, 8.9801, 5.6729 Å; angles 90.00, 104.67, 90.00 degrees
Last column: nearest neighbours and their distance in Å.
Space group P2_1/c (No. 14)
Symmetry-distinct sites (fractional):
Li1 0.0431 0.1671 0.2379 [4 per cell]  4 F 1.85-1.94
Li2 0.4378 0.1695 0.6458 [4 per cell]  4 F 1.89-1.98
Fe1 0.2582 0.0331 0.0621 [4 per cell]  5 F 2.00-2.23
Fe2 0.2576 0.6549 0.0597 [4 per cell]  5 F 1.98-2.20
F1 0.1090 0.1805 0.9546 [4 per cell]  2 Li 1.85-1.90, 1 Fe 2.00
F2 0.1452 0.5099 0.8340 [4 per cell]  1 Li 1.91, 1 Fe 1.98
F3 0.1518 0.6572 0.3448 [4 per cell]  1 Li 1.94, 1 Fe 2.16
F4 0.3565 0.0146 0.7844 [4 per cell]  1 Li 1.89, 2 Fe 2.08
F5 0.3629 0.6692 0.7593 [4 per cell]  1 Li 1.98, 1 Fe 2.08
F6 0.3969 0.1567 0.3022 [4 per cell]  2 Li 1.89, 1 Fe 2.03

Values from the calculation:
**V**: 12.7 Å³ per atom


x.
DFT (PBE+U) results for crystalline LiFeF3 at its relaxed geometry.

Cell lengths 2.9476, 9.7132, 7.1690 Å; angles 90.00, 90.00, 90.00 degrees
Last column: nearest neighbours and their distance in Å.
Space group Cmcm (No. 63)
Symmetry-distinct sites (fractional):
Li1 0.0000 0.0000 0.0000 [4 per cell]  6 F 2.01-2.09
Fe1 0.0000 0.2490 0.2500 [4 per cell]  6 F 2.12-2.21
F1 0.0000 0.0945 0.7500 [4 per cell]  2 Li 2.01, 2 Fe 2.12
F2 0.0000 0.3566 0.5694 [8 per cell]  2 Li 2.09, 2 Fe 2.21

Values from the calculation:
**V**: 10.3 Å³ per atom


Short version: w is the most stable of them.